The following is a r2SCAN calculation of a relaxed structure of Sm3MoO7, from the Materials Project.

a = 7.513 Å, b = 7.520 Å, c = 10.715 Å
α = 90.00°, β = 90.00°, γ = 90.00°
Fractional coordinates of all 44 atoms:
Sm: 0.000 0.054 0.231
Sm: 0.000 0.554 0.269
Sm: 0.003 0.039 0.779
Sm: 0.239 0.211 0.506
Sm: 0.261 0.789 0.006
Sm: 0.497 0.961 0.279
Sm: 0.500 0.446 0.769
Sm: 0.500 0.946 0.731
Sm: 0.503 0.461 0.221
Sm: 0.739 0.289 0.494
Sm: 0.761 0.711 0.994
Sm: 0.997 0.539 0.721
Mo: 0.246 0.255 0.999
Mo: 0.254 0.745 0.499
Mo: 0.746 0.245 0.001
Mo: 0.754 0.755 0.501
O: 0.003 0.287 0.367
O: 0.003 0.683 0.493
O: 0.015 0.759 0.868
O: 0.205 0.387 0.852
O: 0.214 0.936 0.626
O: 0.215 0.960 0.379
O: 0.216 0.442 0.120
O: 0.284 0.558 0.620
O: 0.285 0.040 0.879
O: 0.286 0.064 0.126
O: 0.295 0.613 0.352
O: 0.485 0.241 0.368
O: 0.497 0.317 0.993
O: 0.497 0.713 0.867
O: 0.503 0.213 0.633
O: 0.503 0.817 0.507
O: 0.515 0.741 0.132
O: 0.705 0.113 0.148
O: 0.714 0.564 0.374
O: 0.715 0.540 0.621
O: 0.716 0.058 0.880
O: 0.784 0.942 0.380
O: 0.785 0.460 0.121
O: 0.786 0.436 0.874
O: 0.795 0.887 0.648
O: 0.985 0.259 0.632
O: 0.997 0.183 0.007
O: 0.997 0.787 0.133

***

The following is a r2SCAN calculation of a relaxed structure of Rb3BP2, from the Materials Project.

a = 6.664 Å, b = 6.664 Å, c = 9.475 Å
α = 104.74°, β = 104.74°, γ = 88.09°
Fractional coordinates of all 12 atoms:
Rb: 0.156 0.844 0.750
Rb: 0.242 0.343 0.017
Rb: 0.343 0.242 0.517
Rb: 0.657 0.758 0.483
Rb: 0.758 0.657 0.983
Rb: 0.844 0.156 0.250
B: 0.217 0.783 0.250
B: 0.783 0.217 0.750
P: 0.098 0.659 0.354
P: 0.341 0.902 0.146
P: 0.659 0.098 0.854
P: 0.902 0.341 0.646

***

The following is a r2SCAN calculation of a relaxed structure of PrCu2Ge2, from the Materials Project.

a = 5.874 Å, b = 5.874 Å, c = 5.874 Å
α = 138.49°, β = 138.49°, γ = 60.15°
Fractional coordinates of all 5 atoms:
Pr: 0.000 0.000 0.000
Cu: 0.250 0.750 0.500
Cu: 0.750 0.250 0.500
Ge: 0.376 0.376 0.000
Ge: 0.624 0.624 0.000

***

The following is a r2SCAN calculation of a relaxed structure of Ho6MnTe2, from the Materials Project.

a = 8.215 Å, b = 8.215 Å, c = 4.140 Å
α = 90.00°, β = 90.00°, γ = 120.00°
Fractional coordinates of all 9 atoms:
Ho: 0.000 0.395 0.000
Ho: 0.000 0.760 0.500
Ho: 0.240 0.240 0.500
Ho: 0.395 0.000 0.000
Ho: 0.605 0.605 0.000
Ho: 0.760 0.000 0.500
Mn: 0.000 0.000 0.000
Te: 0.333 0.667 0.500
Te: 0.667 0.333 0.500

***

The following is a r2SCAN calculation of a relaxed structure of PuUN2, from the Materials Project.

a = 6.103 Å, b = 6.103 Å, c = 6.103 Å
α = 32.82°, β = 32.82°, γ = 32.82°
Fractional coordinates of all 4 atoms:
Pu: 0.000 0.000 0.000
U: 0.500 0.500 0.500
N: 0.244 0.244 0.244
N: 0.756 0.756 0.756

***

The following is a r2SCAN calculation of a relaxed structure of EuBrO, from the Materials Project.

a = 3.917 Å, b = 3.917 Å, c = 8.398 Å
α = 90.00°, β = 90.00°, γ = 90.00°
Fractional coordinates of all 6 atoms:
Eu: 0.250 0.250 0.146
Eu: 0.750 0.750 0.854
Br: 0.250 0.250 0.664
Br: 0.750 0.750 0.336
O: 0.250 0.750 0.000
O: 0.750 0.250 0.000

***

The following is a r2SCAN calculation of a relaxed structure of TbY3, from the Materials Project.

a = 5.089 Å, b = 5.089 Å, c = 5.089 Å
α = 90.00°, β = 90.00°, γ = 90.00°
Fractional coordinates of all 4 atoms:
Tb: 0.000 0.000 0.000
Y: 0.000 0.500 0.500
Y: 0.500 0.000 0.500
Y: 0.500 0.500 0.000

***

The following is a r2SCAN calculation of a relaxed structure of CeIrOs, from the Materials Project.

a = 5.447 Å, b = 5.447 Å, c = 5.447 Å
α = 124.78°, β = 119.60°, γ = 86.31°
Fractional coordinates of all 6 atoms:
Ce: 0.378 0.128 0.250
Ce: 0.622 0.872 0.750
Ir: 0.000 0.500 0.500
Ir: 0.500 0.500 0.000
Os: 0.000 0.000 0.500
Os: 0.000 0.500 0.000

***

The following is a r2SCAN calculation of a relaxed structure of ThSnPt, from the Materials Project.

a = 4.808 Å, b = 4.808 Å, c = 4.808 Å
α = 60.00°, β = 60.00°, γ = 60.00°
Fractional coordinates of all 3 atoms:
Th: 0.000 0.000 0.000
Sn: 0.500 0.500 0.500
Pt: 0.250 0.250 0.250

***

The following is a r2SCAN calculation of a relaxed structure of Al7FeCu2, from the Materials Project.

a = 6.259 Å, b = 6.259 Å, c = 14.641 Å
α = 90.00°, β = 90.00°, γ = 90.00°
Fractional coordinates of all 40 atoms:
Al: 0.000 0.000 0.133
Al: 0.000 0.000 0.867
Al: 0.086 0.294 0.400
Al: 0.086 0.294 0.600
Al: 0.164 0.664 0.250
Al: 0.164 0.664 0.750
Al: 0.206 0.414 0.100
Al: 0.206 0.414 0.900
Al: 0.294 0.914 0.400
Al: 0.294 0.914 0.600
Al: 0.336 0.164 0.250
Al: 0.336 0.164 0.750
Al: 0.414 0.794 0.100
Al: 0.414 0.794 0.900
Al: 0.500 0.500 0.367
Al: 0.500 0.500 0.633
Al: 0.586 0.206 0.100
Al: 0.586 0.206 0.900
Al: 0.664 0.836 0.250
Al: 0.664 0.836 0.750
Al: 0.706 0.086 0.400
Al: 0.706 0.086 0.600
Al: 0.794 0.586 0.100
Al: 0.794 0.586 0.900
Al: 0.836 0.336 0.250
Al: 0.836 0.336 0.750
Al: 0.914 0.706 0.400
Al: 0.914 0.706 0.600
Fe: 0.000 0.000 0.299
Fe: 0.000 0.000 0.701
Fe: 0.500 0.500 0.201
Fe: 0.500 0.500 0.799
Cu: 0.086 0.727 0.000
Cu: 0.227 0.586 0.500
Cu: 0.273 0.086 0.000
Cu: 0.414 0.227 0.500
Cu: 0.586 0.773 0.500
Cu: 0.727 0.914 0.000
Cu: 0.773 0.414 0.500
Cu: 0.914 0.273 0.000

***

The following is a r2SCAN calculation of a relaxed structure of Rb7NbAs4, from the Materials Project.

a = 10.678 Å, b = 9.543 Å, c = 8.669 Å
α = 90.00°, β = 90.00°, γ = 90.00°
Fractional coordinates of all 24 atoms:
Rb: 0.000 0.036 0.000
Rb: 0.000 0.340 0.789
Rb: 0.000 0.897 0.519
Rb: 0.210 0.530 0.500
Rb: 0.214 0.166 0.331
Rb: 0.286 0.834 0.831
Rb: 0.290 0.470 0.000
Rb: 0.500 0.103 0.019
Rb: 0.500 0.660 0.289
Rb: 0.500 0.964 0.500
Rb: 0.710 0.470 0.000
Rb: 0.714 0.834 0.831
Rb: 0.786 0.166 0.331
Rb: 0.790 0.530 0.500
Nb: 0.000 0.674 0.124
Nb: 0.500 0.326 0.624
As: 0.000 0.419 0.199
As: 0.000 0.684 0.835
As: 0.196 0.803 0.216
As: 0.304 0.197 0.716
As: 0.500 0.316 0.335
As: 0.500 0.581 0.699
As: 0.696 0.197 0.716
As: 0.804 0.803 0.216

***

The following is a r2SCAN calculation of a relaxed structure of Ba4Ga2O7, from the Materials Project.

a = 17.868 Å, b = 10.772 Å, c = 7.343 Å
α = 90.00°, β = 98.75°, γ = 90.00°
Fractional coordinates of all 78 atoms:
Ba: 0.082 0.104 0.338
Ba: 0.082 0.396 0.838
Ba: 0.093 0.733 0.455
Ba: 0.093 0.767 0.955
Ba: 0.249 0.552 0.198
Ba: 0.249 0.948 0.698
Ba: 0.257 0.213 0.039
Ba: 0.257 0.287 0.539
Ba: 0.409 0.712 0.498
Ba: 0.409 0.788 0.998
Ba: 0.414 0.076 0.337
Ba: 0.414 0.424 0.837
Ba: 0.586 0.576 0.163
Ba: 0.586 0.924 0.663
Ba: 0.591 0.212 0.002
Ba: 0.591 0.288 0.502
Ba: 0.743 0.713 0.461
Ba: 0.743 0.787 0.961
Ba: 0.751 0.052 0.302
Ba: 0.751 0.448 0.802
Ba: 0.907 0.233 0.045
Ba: 0.907 0.267 0.545
Ba: 0.918 0.604 0.162
Ba: 0.918 0.896 0.662
Ga: 0.091 0.072 0.812
Ga: 0.091 0.428 0.312
Ga: 0.233 0.559 0.696
Ga: 0.233 0.941 0.196
Ga: 0.434 0.070 0.796
Ga: 0.434 0.430 0.296
Ga: 0.566 0.570 0.704
Ga: 0.566 0.930 0.204
Ga: 0.767 0.059 0.804
Ga: 0.767 0.441 0.304
Ga: 0.909 0.572 0.688
Ga: 0.909 0.928 0.188
O: 0.009 0.167 0.841
O: 0.009 0.333 0.341
O: 0.074 0.564 0.155
O: 0.074 0.936 0.655
O: 0.144 0.006 0.037
O: 0.144 0.494 0.537
O: 0.159 0.171 0.712
O: 0.159 0.329 0.212
O: 0.210 0.713 0.773
O: 0.210 0.787 0.273
O: 0.247 0.064 0.376
O: 0.247 0.436 0.876
O: 0.313 0.540 0.567
O: 0.313 0.960 0.067
O: 0.360 0.184 0.815
O: 0.360 0.316 0.315
O: 0.398 0.572 0.166
O: 0.398 0.928 0.666
O: 0.493 0.645 0.825
O: 0.493 0.855 0.325
O: 0.500 0.000 0.000
O: 0.500 0.500 0.500
O: 0.507 0.145 0.675
O: 0.507 0.355 0.175
O: 0.602 0.072 0.334
O: 0.602 0.428 0.834
O: 0.640 0.684 0.685
O: 0.640 0.816 0.185
O: 0.687 0.040 0.933
O: 0.687 0.460 0.433
O: 0.753 0.564 0.124
O: 0.753 0.936 0.624
O: 0.790 0.213 0.727
O: 0.790 0.287 0.227
O: 0.841 0.671 0.788
O: 0.841 0.829 0.288
O: 0.856 0.506 0.463
O: 0.856 0.994 0.963
O: 0.926 0.064 0.345
O: 0.926 0.436 0.845
O: 0.991 0.667 0.659
O: 0.991 0.833 0.159

***

The following is a r2SCAN calculation of a relaxed structure of Br2Cl3, from the Materials Project.

a = 6.054 Å, b = 6.054 Å, c = 6.054 Å
α = 90.93°, β = 90.93°, γ = 90.93°
Fractional coordinates of all 5 atoms:
Br: 0.181 0.181 0.181
Br: 0.819 0.819 0.819
Cl: 0.000 0.000 0.500
Cl: 0.000 0.500 0.000
Cl: 0.500 0.000 0.000

***

The following is a r2SCAN calculation of a relaxed structure of Al13Ru4, from the Materials Project.

a = 8.915 Å, b = 8.915 Å, c = 12.691 Å
α = 105.73°, β = 105.73°, γ = 54.49°
Fractional coordinates of all 51 atoms:
Al: 0.000 0.000 0.000
Al: 0.018 0.018 0.670
Al: 0.084 0.650 0.608
Al: 0.087 0.641 0.981
Al: 0.094 0.534 0.391
Al: 0.099 0.543 0.164
Al: 0.175 0.175 0.215
Al: 0.189 0.189 0.726
Al: 0.225 0.757 0.830
Al: 0.243 0.775 0.170
Al: 0.250 0.750 0.500
Al: 0.262 0.262 0.549
Al: 0.265 0.265 0.956
Al: 0.350 0.916 0.392
Al: 0.359 0.913 0.019
Al: 0.419 0.419 0.715
Al: 0.428 0.428 0.920
Al: 0.432 0.432 0.326
Al: 0.457 0.901 0.836
Al: 0.466 0.906 0.609
Al: 0.534 0.094 0.391
Al: 0.543 0.099 0.164
Al: 0.568 0.568 0.674
Al: 0.572 0.572 0.080
Al: 0.581 0.581 0.285
Al: 0.641 0.087 0.981
Al: 0.650 0.084 0.608
Al: 0.735 0.735 0.044
Al: 0.738 0.738 0.451
Al: 0.750 0.250 0.500
Al: 0.757 0.225 0.830
Al: 0.775 0.243 0.170
Al: 0.811 0.811 0.274
Al: 0.825 0.825 0.785
Al: 0.901 0.457 0.836
Al: 0.906 0.466 0.609
Al: 0.913 0.359 0.019
Al: 0.916 0.350 0.392
Al: 0.982 0.982 0.330
Ru: 0.098 0.098 0.875
Ru: 0.099 0.099 0.515
Ru: 0.116 0.521 0.778
Ru: 0.408 0.408 0.513
Ru: 0.415 0.415 0.117
Ru: 0.479 0.884 0.222
Ru: 0.521 0.116 0.778
Ru: 0.585 0.585 0.883
Ru: 0.592 0.592 0.487
Ru: 0.884 0.479 0.222
Ru: 0.901 0.901 0.485
Ru: 0.902 0.902 0.125

***

The following is a r2SCAN calculation of a relaxed structure of PaCd, from the Materials Project.

a = 3.111 Å, b = 3.111 Å, c = 5.736 Å
α = 90.00°, β = 90.00°, γ = 120.00°
Fractional coordinates of all 2 atoms:
Pa: 0.000 0.000 0.000
Cd: 0.333 0.667 0.500

***

The following is a r2SCAN calculation of a relaxed structure of PmDyHg2, from the Materials Project.

a = 5.297 Å, b = 5.297 Å, c = 5.297 Å
α = 60.00°, β = 60.00°, γ = 60.00°
Fractional coordinates of all 4 atoms:
Pm: 0.000 0.000 0.000
Dy: 0.500 0.500 0.500
Hg: 0.250 0.250 0.250
Hg: 0.750 0.750 0.750

***

Number 1: total DFT energy (no corrections) -193.560 eV per formula unit, ΔH_f (0 K) -3.316 eV per atom. Number 2: total DFT energy (no corrections) -70.307 eV per formula unit, ΔH_f (0 K) -0.527 eV per atom. Number 3: total DFT energy (no corrections) -81.758 eV per formula unit, ΔH_f (0 K) -0.583 eV per atom. Number 4: total DFT energy (no corrections) -269.240 eV per formula unit, ΔH_f (0 K) -0.715 eV per atom. Number 5: total DFT energy (no corrections) -191.251 eV per formula unit, ΔH_f (0 K) -1.674 eV per atom. Number 6: total DFT energy (no corrections) -65.620 eV per formula unit, ΔH_f (0 K) -2.622 eV per atom. Number 7: total DFT energy (no corrections) -91.853 eV per formula unit, ΔH_f (0 K) 0.079 eV per atom. Number 8: total DFT energy (no corrections) -137.855 eV per formula unit, ΔH_f (0 K) -0.557 eV per atom. Number 9: total DFT energy (no corrections) -153.285 eV per formula unit, ΔH_f (0 K) -1.192 eV per atom. Number 10: total DFT energy (no corrections) -85.387 eV per formula unit, ΔH_f (0 K) -0.216 eV per atom. Number 11: total DFT energy (no corrections) -188.098 eV per formula unit, ΔH_f (0 K) -0.585 eV per atom. Number 12: total DFT energy (no corrections) -204.566 eV per formula unit, ΔH_f (0 K) -2.606 eV per atom. Number 13: total DFT energy (no corrections) -43.930 eV per formula unit, ΔH_f (0 K) 0.209 eV per atom. Number 14: total DFT energy (no corrections) -199.091 eV per formula unit, ΔH_f (0 K) -0.581 eV per atom. Number 15: total DFT energy (no corrections) -96.876 eV per formula unit, ΔH_f (0 K) 0.042 eV per atom. Number 16: total DFT energy (no corrections) -162.544 eV per formula unit, ΔH_f (0 K) -0.571 eV per atom.